Entry 1:
The following is a DFT calculation (GGA-PBE) of a geometry-optimized In3Co structure.

a b c (Å): 6.5671 6.5671 3.9773
angles (deg): 90.00 90.00 90.45
Atoms (fractional coordinates):
In 0.8396 0.1604 0.5000
In 0.5000 0.0000 0.0000
In 0.1604 0.8396 0.5000
In 0.6629 0.6629 0.5000
In 0.0000 0.5000 0.0000
In 0.3371 0.3371 0.5000
Co 0.6347 0.3653 0.0000
Co 0.3653 0.6347 0.0000

Calculated values
- Total magnetization: 0.00 μB per formula unit

Entry 2:
The following is a DFT calculation (GGA-PBE) of a geometry-optimized KIn9Co2 structure.

a b c (Å): 4.2958 8.8623 8.8623
angles (deg): 120.00 90.00 90.00
Atoms (fractional coordinates):
In 0.5000 0.4184 0.2092
In 0.0000 0.5000 0.0000
In 0.5000 0.5816 0.7908
In 0.5000 0.2092 0.4184
In 0.5000 0.7908 0.5816
In 0.0000 0.0000 0.5000
In 0.0000 0.5000 0.5000
In 0.5000 0.7908 0.2092
In 0.5000 0.2092 0.7908
Co 0.0000 0.6667 0.3333
Co 0.0000 0.3333 0.6667
K 0.0000 0.0000 0.0000

Entry 3:
The following is a DFT calculation (GGA-PBE) of a geometry-optimized La12InCo6 structure.

a b c (Å): 8.7971 8.7971 8.7971
angles (deg): 109.47 109.47 109.47
Atoms (fractional coordinates):
La 0.8114 0.6900 0.5014
La 0.1886 0.6900 0.8785
La 0.1886 0.3100 0.4986
La 0.6900 0.5014 0.8114
La 0.1215 0.8114 0.3100
La 0.8114 0.3100 0.1215
La 0.3100 0.1215 0.8114
La 0.6900 0.8785 0.1886
La 0.8785 0.1886 0.6900
La 0.3100 0.4986 0.1886
La 0.4986 0.1886 0.3100
La 0.5014 0.8114 0.6900
Co 0.8829 0.3829 0.5000
Co 0.5000 0.1171 0.6171
Co 0.5000 0.8829 0.3829
Co 0.6171 0.5000 0.1171
Co 0.3829 0.5000 0.8829
Co 0.1171 0.6171 0.5000
In 0.0000 0.0000 0.0000

Calculated values
- Total magnetization: 0.76 μB per formula unit

Entry 4:
The following is a DFT calculation (GGA-PBE) of a geometry-optimized La6InCo13 structure.

a b c (Å): 8.0623 8.0623 12.9432
angles (deg): 108.15 108.15 90.00
Atoms (fractional coordinates):
Co 0.4746 0.2009 0.1755
Co 0.5254 0.7991 0.8245
Co 0.7136 0.4355 0.0000
Co 0.0000 0.5000 0.0000
Co 0.6215 0.1215 0.8889
Co 0.9746 0.4746 0.1755
Co 0.7009 0.9746 0.1755
Co 0.9355 0.2136 0.0000
Co 0.2675 0.7675 0.8889
Co 0.7991 0.2991 0.8245
Co 0.0645 0.7864 0.0000
Co 0.7864 0.9355 0.0000
Co 0.3785 0.8785 0.1111
Co 0.5000 0.0000 0.0000
Co 0.2991 0.0254 0.8245
Co 0.2136 0.0645 0.0000
Co 0.1215 0.2675 0.8889
Co 0.8785 0.7325 0.1111
Co 0.2325 0.3785 0.1111
Co 0.0254 0.5254 0.8245
Co 0.7675 0.6215 0.8889
Co 0.4355 0.2864 0.0000
Co 0.5645 0.7136 0.0000
Co 0.2009 0.7009 0.1755
Co 0.2864 0.5645 0.0000
Co 0.7325 0.2325 0.1111
La 0.1005 0.1005 0.2010
La 0.0172 0.8420 0.3592
La 0.1580 0.6580 0.6408
La 0.8995 0.8995 0.7990
La 0.6580 0.4828 0.6408
La 0.4828 0.9828 0.6408
La 0.9828 0.1580 0.6408
La 0.3995 0.3995 0.7990
La 0.5172 0.0172 0.3592
La 0.3420 0.5172 0.3592
La 0.6005 0.6005 0.2010
La 0.8420 0.3420 0.3592
In 0.7500 0.7500 0.5000
In 0.2500 0.2500 0.5000

Calculated values
- Total magnetization: 14.81 μB per formula unit

| no. | energy relative to the elements (eV per atom) |
| --- | --- |
| 1 | 0.07 |
| 2 | -0.06 |
| 3 | -0.17 |
| 4 | -0.12 |